20
Lattice="7.188 0.000 0.000 0.000 9.621 0.000 0.000 0.000 6.535" Properties=species:S:1:pos:R:3 comment="PrScS3 GGA-PBE relaxed" corrected_energy_ry_per_atom=-0.5151 pbc="T T T"
Pr 0.693 2.405 0.247
Pr 2.901 7.216 3.515
Pr 4.287 2.405 3.021
Pr 6.495 7.216 6.288
Sc 0.000 0.000 3.268
Sc 0.000 4.811 3.268
Sc 3.594 0.000 0.000
Sc 3.594 4.811 0.000
S 0.259 7.216 2.445
S 1.362 5.396 5.368
S 1.362 9.036 5.368
S 2.231 0.585 2.101
S 2.231 4.226 2.101
S 3.335 2.405 5.713
S 3.853 7.216 0.823
S 4.956 5.396 4.435
S 4.956 9.036 4.435
S 5.825 0.585 1.167
S 5.825 4.226 1.167
S 6.929 2.405 4.091

---

84
Lattice="7.277 -5.512 0.000 7.277 5.512 0.000 0.000 0.000 21.078" Properties=species:S:1:pos:R:3 comment="CsSbOF4 GGA-PBE relaxed" corrected_energy_ry_per_atom=-0.3875 pbc="T T T"
Cs 7.277 3.645 18.796
Cs 3.638 0.628 5.270
Cs 2.869 0.000 10.539
Cs 4.408 0.000 0.000
Cs 3.638 -0.628 15.809
Cs 7.277 1.867 8.257
Cs 7.277 -1.867 12.821
Cs 10.915 0.628 5.270
Cs 10.145 0.000 0.000
Cs 11.685 0.000 10.539
Cs 10.915 -0.628 15.809
Cs 7.277 -3.645 2.282
Sb 7.277 5.170 13.664
Sb 5.481 3.385 2.446
Sb 5.481 2.127 12.985
Sb 9.072 3.385 2.446
Sb 9.072 2.127 12.985
Sb 7.277 0.342 3.125
Sb 7.277 -0.342 17.953
Sb 5.481 -2.127 8.094
Sb 5.481 -3.385 18.633
Sb 9.072 -2.127 8.094
Sb 9.072 -3.385 18.633
Sb 7.277 -5.170 7.414
O 5.795 4.055 13.038
O 7.277 4.072 2.836
O 8.758 4.055 13.038
O 5.795 1.457 2.499
O 7.277 1.440 13.375
O 8.758 1.457 2.499
O 5.795 -1.457 18.579
O 7.277 -1.440 7.703
O 8.758 -1.457 18.579
O 5.795 -4.055 8.040
O 7.277 -4.072 18.242
O 8.758 -4.055 8.040
F 1.330 0.951 14.220
F 3.639 2.579 12.543
F 3.638 2.579 19.074
F 4.959 3.409 4.311
F 7.277 4.914 9.131
F 5.755 3.464 0.515
F 7.277 4.422 15.461
F 2.380 0.255 18.690
F 4.959 2.103 14.851
F 1.330 -0.951 6.859
F 2.380 -0.255 2.389
F 5.755 2.048 11.054
F 8.798 3.464 0.515
F 4.896 0.255 12.928
F 5.947 0.951 17.398
F 9.595 3.409 4.311
F 4.896 -0.255 8.151
F 7.277 1.090 4.922
F 8.798 2.048 11.054
F 7.277 0.597 19.670
F 9.595 2.103 14.851
F 3.638 -2.579 2.004
F 3.639 -2.579 8.535
F 5.947 -0.951 3.681
F 8.607 0.951 17.398
F 10.915 2.579 12.543
F 10.915 2.579 19.074
F 4.959 -2.103 6.228
F 7.277 -0.597 1.408
F 5.755 -2.048 10.024
F 7.277 -1.090 16.156
F 9.657 0.255 12.928
F 4.959 -3.409 16.767
F 8.607 -0.951 3.681
F 9.657 -0.255 8.151
F 5.755 -3.464 20.563
F 8.798 -2.048 10.024
F 12.173 0.255 18.690
F 13.223 0.951 14.220
F 9.595 -2.103 6.228
F 12.173 -0.255 2.389
F 7.277 -4.422 5.617
F 8.798 -3.464 20.563
F 7.277 -4.914 11.947
F 9.595 -3.409 16.767
F 10.915 -2.579 2.004
F 10.915 -2.579 8.535
F 13.223 -0.951 6.859

---

56
Lattice="9.749 0.000 0.000 4.364 8.769 0.000 1.280 0.946 25.621" Properties=species:S:1:pos:R:3 comment="Cs12NbIn6As9 GGA-PBE relaxed" energy_ev_per_atom=-3.265 pbc="T T T"
Cs 0.000 0.000 0.000
Cs 0.640 0.473 12.811
Cs 2.932 4.207 7.871
Cs 2.865 1.656 18.990
Cs 5.101 6.585 3.391
Cs 4.995 5.230 13.676
Cs 4.415 2.598 23.966
Cs 6.528 6.258 19.190
Cs 4.244 1.046 14.543
Cs 5.196 2.712 4.587
Cs 8.979 7.376 25.203
Cs 6.700 3.722 9.838
Cs 6.481 2.395 20.840
Cs 8.911 7.320 4.781
Cs 8.693 5.993 15.783
Cs 6.413 2.338 0.418
Cs 10.197 7.003 21.034
Cs 11.149 8.669 11.078
Cs 8.864 3.456 6.431
Cs 10.978 7.117 1.655
Cs 10.397 4.485 11.945
Cs 10.292 3.129 22.230
Cs 12.528 8.058 6.632
Cs 12.461 5.507 17.750
Nb 3.107 0.872 9.937
Nb 12.286 8.843 15.684
In 1.418 1.538 4.068
In 2.501 3.396 1.514
In 5.109 7.127 9.634
In 2.069 0.283 6.834
In 6.487 5.762 22.931
In 6.655 2.963 17.051
In 8.737 6.752 8.570
In 8.906 3.953 2.690
In 13.323 9.431 18.787
In 10.284 2.587 15.988
In 12.891 6.319 24.107
In 13.975 8.176 21.553
As 4.946 8.511 16.498
As 3.843 5.391 21.557
As 4.101 5.141 0.095
As 6.851 8.519 22.139
As 3.728 2.660 11.431
As 3.222 0.796 2.113
As 6.242 6.231 7.096
As 7.589 7.372 11.100
As 4.664 0.784 7.926
As 10.729 8.930 17.695
As 7.803 2.342 14.521
As 9.151 3.484 18.525
As 12.171 8.918 23.508
As 11.665 7.054 14.190
As 8.542 1.196 3.482
As 11.291 4.573 25.526
As 11.550 4.324 4.064
As 10.446 1.204 9.123

---

102
Lattice="8.818 0.000 0.000 4.399 7.649 0.000 0.016 0.056 22.861" Properties=species:S:1:pos:R:3 comment="HfSnP2SO12 GGA-PBE relaxed" corrected_energy_ry_per_atom=-0.5771 pbc="T T T"
Hf 0.000 0.000 0.000
Hf 0.035 0.035 11.417
Hf 4.415 2.603 15.247
Hf 8.813 5.113 7.605
Hf 8.925 5.161 12.455
Hf 8.746 0.066 16.297
Sn 0.106 0.034 4.792
Sn 4.332 2.596 8.612
Sn 4.428 2.551 3.840
Sn 4.517 2.613 20.051
Sn 8.727 5.125 1.005
Sn 8.843 5.145 19.091
P 1.274 2.214 13.859
P 3.137 4.765 17.697
P 1.880 2.545 6.210
P 2.578 0.013 2.422
P 5.651 4.759 6.215
P 6.295 5.134 21.457
P 7.587 7.333 10.025
P 6.975 2.627 17.679
P 10.072 7.343 21.465
P 6.307 0.044 13.851
P 7.555 2.208 2.432
P 11.381 5.105 10.021
S 11.936 5.426 2.428
S 5.704 5.477 13.858
S 3.161 0.368 17.683
S 5.732 0.350 6.231
S 7.524 2.910 10.034
S 10.144 2.939 21.478
O 0.973 1.309 6.066
O 3.740 6.050 1.241
O 3.783 6.141 17.460
O 1.035 1.332 12.619
O 2.738 2.817 4.958
O 3.392 3.878 16.465
O 2.778 2.772 21.294
O 3.463 3.863 9.896
O 3.752 4.101 2.569
O 3.778 4.155 18.966
O 2.787 2.380 14.085
O 2.730 2.243 7.463
O 4.998 6.144 6.025
O 1.671 0.215 1.198
O 5.078 6.075 12.660
O 1.715 0.206 17.477
O 5.419 6.371 21.704
O 6.072 7.488 10.257
O 5.481 6.300 15.057
O 6.138 7.355 3.684
O 3.336 1.197 18.902
O 5.032 4.134 7.488
O 5.092 4.142 14.034
O 3.450 1.268 2.612
O 5.390 3.899 21.312
O 3.782 0.990 16.495
O 3.843 1.069 9.844
O 5.483 3.869 4.965
O 7.151 5.405 20.203
O 7.147 5.304 13.650
O 7.822 6.441 8.792
O 7.880 6.421 2.271
O 7.163 4.914 6.451
O 8.186 6.689 17.821
O 8.191 6.656 11.272
O 7.148 4.832 22.708
O 5.020 1.077 21.275
O 6.079 2.822 16.450
O 6.069 2.743 9.852
O 5.079 0.909 5.027
O 6.029 2.353 2.610
O 5.412 1.262 14.095
O 6.147 2.294 18.937
O 5.539 1.185 7.440
O 9.448 6.715 22.734
O 7.751 3.736 11.232
O 7.866 3.864 17.864
O 9.515 6.672 6.419
O 9.808 6.453 13.665
O 8.150 3.510 8.837
O 8.218 3.592 2.232
O 9.905 6.459 20.211
O 7.190 0.244 12.615
O 7.810 1.311 1.205
O 7.186 0.185 6.045
O 7.872 1.388 17.476
O 8.141 1.580 10.211
O 8.181 1.588 3.708
O 11.585 7.501 21.701
O 11.583 7.435 15.093
O 9.452 3.591 13.627
O 10.485 5.314 8.793
O 10.479 5.266 2.238
O 9.494 3.495 20.271
O 10.431 4.923 17.863
O 9.821 3.780 6.454
O 10.491 4.870 11.265
O 9.951 3.775 22.686
O 12.122 6.253 3.648
O 9.484 1.540 15.103
O 9.529 1.610 21.666
O 12.257 6.340 10.267

---

16
Lattice="7.518 0.000 0.000 0.000 7.518 0.000 0.000 0.000 7.518" Properties=species:S:1:pos:R:3 comment="NaMgTl2 GGA-PBE relaxed" energy_ev_per_atom=-2.013 pbc="T T T"
Na 0.000 0.000 0.000
Na 0.000 3.759 3.759
Na 3.759 0.000 3.759
Na 3.759 3.759 0.000
Mg 0.000 0.000 3.759
Mg 0.000 3.759 0.000
Mg 3.759 0.000 0.000
Mg 3.759 3.759 3.759
Tl 1.879 1.879 1.879
Tl 1.879 1.879 5.638
Tl 1.879 5.638 1.879
Tl 1.879 5.638 5.638
Tl 5.638 1.879 1.879
Tl 5.638 1.879 5.638
Tl 5.638 5.638 1.879
Tl 5.638 5.638 5.638

---

16
Lattice="5.013 0.000 0.000 0.000 6.218 0.000 0.000 0.000 7.022" Properties=species:S:1:pos:R:3 comment="HgHOF GGA-PBE relaxed" piezo_max_c_m2=0.055 corrected_energy_ry_per_atom=-0.2921 pbc="T T T"
Hg 1.248 6.216 0.872
Hg 1.258 0.001 4.383
Hg 3.755 3.110 6.150
Hg 3.765 3.108 2.639
H 0.716 3.083 0.873
H 1.790 3.135 4.384
H 3.223 0.026 6.149
H 4.297 6.191 2.638
O 0.164 5.653 2.633
O 2.342 0.564 6.144
O 2.671 3.673 4.389
O 4.849 2.545 0.878
F 0.491 2.435 4.388
F 2.016 3.782 0.876
F 2.997 0.674 2.635
F 4.523 5.544 6.146

---

56
Lattice="6.305 0.000 0.000 0.000 16.923 0.000 0.000 0.000 12.509" Properties=species:S:1:pos:R:3 comment="ReBiO5 GGA-PBE relaxed" de_polymorph_mev_per_atom=0 corrected_energy_ry_per_atom=-0.5708 pbc="T T T"
Re 0.088 1.896 1.318
Re 0.088 6.565 7.572
Re 3.064 10.358 1.318
Re 3.064 15.027 7.572
Re 3.241 1.896 4.936
Re 3.241 6.565 11.191
Re 6.216 10.358 4.936
Re 6.216 15.027 11.191
Bi 0.311 12.042 8.473
Bi 0.311 13.343 2.219
Bi 2.842 3.580 8.473
Bi 2.842 4.882 2.219
Bi 3.463 12.042 10.290
Bi 3.463 13.343 4.036
Bi 5.994 3.580 10.290
Bi 5.994 4.882 4.036
O 0.521 3.232 2.453
O 0.521 5.229 8.707
O 0.773 9.110 4.113
O 0.773 16.275 10.368
O 0.902 11.012 6.260
O 0.902 14.373 0.006
O 1.510 2.638 9.776
O 1.510 5.824 3.522
O 1.539 1.243 0.641
O 1.539 7.219 6.895
O 1.614 9.704 0.641
O 1.614 15.681 6.895
O 1.643 11.100 9.776
O 1.643 14.285 3.522
O 2.250 2.551 6.260
O 2.250 5.911 0.006
O 2.380 0.648 4.113
O 2.380 7.814 10.368
O 2.632 11.694 2.453
O 2.632 13.691 8.707
O 3.673 3.232 3.801
O 3.673 5.229 10.056
O 3.925 9.110 2.141
O 3.925 16.275 8.395
O 4.055 11.012 12.503
O 4.055 14.373 6.248
O 4.662 2.638 8.987
O 4.662 5.824 2.732
O 4.691 1.243 5.613
O 4.691 7.219 11.868
O 4.766 9.704 5.613
O 4.766 15.681 11.868
O 4.795 11.100 8.987
O 4.795 14.285 2.732
O 5.403 2.551 12.503
O 5.403 5.911 6.248
O 5.532 0.648 2.141
O 5.532 7.814 8.395
O 5.784 11.694 3.801
O 5.784 13.691 10.056

---

13
Lattice="2.903 -1.676 0.000 2.903 1.676 0.000 0.000 0.000 38.289" Properties=species:S:1:pos:R:3 comment="MgTe4Mo2W2S4 GGA-PBE relaxed" de_polymorph_mev_per_atom=33 corrected_energy_ry_per_atom=-0.4793 pbc="T T T"
Mg 0.000 0.000 0.000
Te 3.718 0.000 28.046
Te 3.718 0.000 31.828
Te 5.653 0.000 6.455
Te 5.653 0.000 10.258
Mo 5.653 0.000 15.551
Mo 5.653 0.000 29.939
W 3.718 0.000 8.355
W 3.718 0.000 22.743
S 3.718 0.000 14.037
S 3.718 0.000 17.063
S 5.653 0.000 21.224
S 5.653 0.000 24.261

---

10
Lattice="4.111 0.000 0.000 0.000 4.111 0.000 0.000 0.000 10.702" Properties=species:S:1:pos:R:3 comment="LaMnFeGe2 GGA-PBE relaxed" energy_ev_per_atom=-6.830 pbc="T T T"
La 0.000 0.000 0.000
La 2.055 2.055 5.351
Mn 0.000 2.055 8.027
Mn 2.055 0.000 2.676
Fe 0.000 2.055 2.676
Fe 2.055 0.000 8.027
Ge 0.000 0.000 3.959
Ge 0.000 0.000 6.743
Ge 2.055 2.055 1.392
Ge 2.055 2.055 9.310

---

18
Lattice="6.828 0.000 0.000 0.000 6.892 0.000 -2.176 0.000 6.339" Properties=species:S:1:pos:R:3 comment="Tm2Si4Mo3 GGA-PBE relaxed" energy_ev_per_atom=-7.713 pbc="T T T"
Tm 1.170 1.172 0.389
Tm 0.082 2.274 3.558
Tm 4.570 4.618 2.780
Tm 3.482 5.719 5.950
Si -1.274 3.740 5.490
Si -0.186 6.598 2.321
Si 2.023 4.352 3.984
Si 3.111 5.985 0.815
Si 1.541 0.907 5.524
Si 2.629 2.539 2.355
Si 4.838 0.294 4.018
Si 5.926 3.152 0.848
Mo 1.148 4.571 1.578
Mo 0.060 5.767 4.747
Mo 2.326 0.000 3.169
Mo 3.414 3.446 0.000
Mo 4.592 1.125 1.592
Mo 3.504 2.321 4.761